[1]
This record from Materials Project describes a relaxed structure of YIn. The functional is PBE.

a = 3.7743 Å, b = 3.7743 Å, c = 3.7743 Å
α = 90.00°, β = 90.00°, γ = 90.00°
Sites, in units of the cell vectors:
Y  0.5000  0.5000  0.5000
In  0.0000  0.0000  0.0000

E_form in meV per atom: -484
Crystal system: cubic

[2]
This record from Materials Project describes a relaxed structure of ZnIn3. The functional is PBE.

a = 5.7961 Å, b = 5.7961 Å, c = 5.7961 Å
α = 134.08°, β = 134.08°, γ = 66.97°
Sites, in units of the cell vectors:
Zn  0.0000  0.0000  0.0000
In  0.7500  0.2500  0.5000
In  0.2500  0.7500  0.5000
In  0.5000  0.5000  0.0000

E_form in meV per atom: 92
Crystal system: tetragonal

[3]
This record from Materials Project describes a relaxed structure of Zn3In. The functional is PBE.

a = 7.0008 Å, b = 7.0008 Å, c = 4.5318 Å
α = 90.00°, β = 90.00°, γ = 137.00°
Sites, in units of the cell vectors:
Zn  0.8846  0.1154  0.7500
Zn  0.3289  0.1845  0.7500
Zn  0.8155  0.6711  0.7500
Zn  0.1154  0.8846  0.2500
Zn  0.6711  0.8155  0.2500
Zn  0.1845  0.3289  0.2500
In  0.7053  0.2947  0.2500
In  0.2947  0.7053  0.7500

E_form in meV per atom: 66
Crystal system: orthorhombic

[4]
This record from Materials Project describes a relaxed structure of Zn3In. The functional is PBE.

a = 6.1173 Å, b = 6.1173 Å, c = 4.6801 Å
α = 90.00°, β = 90.00°, γ = 121.79°
Sites, in units of the cell vectors:
Zn  0.8470  0.1530  0.2500
Zn  0.3084  0.1545  0.2500
Zn  0.8455  0.6916  0.2500
Zn  0.1530  0.8470  0.7500
Zn  0.6916  0.8455  0.7500
Zn  0.1545  0.3084  0.7500
In  0.6666  0.3334  0.7500
In  0.3334  0.6666  0.2500

E_form in meV per atom: 111
Crystal system: orthorhombic

[5]
This record from Materials Project describes a relaxed structure of Zn3In. The functional is PBE.

a = 5.0666 Å, b = 5.0666 Å, c = 5.0666 Å
α = 130.78°, β = 130.78°, γ = 72.16°
Sites, in units of the cell vectors:
Zn  0.7500  0.2500  0.5000
Zn  0.2500  0.7500  0.5000
Zn  0.5000  0.5000  0.0000
In  0.0000  0.0000  0.0000

E_form in meV per atom: 106
Crystal system: tetragonal

[6]
This record from Materials Project describes a relaxed structure of ZnIn3. The functional is PBE.

a = 7.0638 Å, b = 7.0638 Å, c = 5.0589 Å
α = 90.00°, β = 90.00°, γ = 127.40°
Sites, in units of the cell vectors:
Zn  0.8308  0.1692  0.7500
Zn  0.1692  0.8308  0.2500
In  0.1682  0.3284  0.2500
In  0.6867  0.3133  0.2500
In  0.6716  0.8318  0.2500
In  0.8318  0.6716  0.7500
In  0.3133  0.6867  0.7500
In  0.3284  0.1682  0.7500

E_form in meV per atom: 99
Crystal system: orthorhombic

[7]
This record from Materials Project describes a relaxed structure of ZnIn3. The functional is PBE.

a = 5.2195 Å, b = 5.2195 Å, c = 5.2195 Å
α = 60.00°, β = 60.00°, γ = 60.00°
Sites, in units of the cell vectors:
Zn  0.0000  0.0000  0.0000
In  0.2500  0.2500  0.2500
In  0.7500  0.7500  0.7500
In  0.5000  0.5000  0.5000

E_form in meV per atom: 107
Crystal system: cubic

[8]
This record from Materials Project describes a relaxed structure of Zr2In3. The functional is PBE.

a = 6.8679 Å, b = 6.8679 Å, c = 11.4479 Å
α = 107.46°, β = 107.46°, γ = 90.00°
Sites, in units of the cell vectors:
Zr  0.2885  0.5203  0.5769
Zr  0.2885  0.0566  0.5769
Zr  0.3066  0.0385  0.0769
Zr  0.9615  0.6934  0.9231
Zr  0.9615  0.2297  0.9231
Zr  0.7703  0.0385  0.0769
Zr  0.9434  0.7115  0.4231
Zr  0.4797  0.7115  0.4231
In  0.8040  0.0861  0.6080
In  0.8040  0.5219  0.6080
In  0.7719  0.5540  0.1080
In  0.4460  0.2281  0.8920
In  0.4460  0.6639  0.8920
In  0.3361  0.5540  0.1080
In  0.4781  0.1960  0.3920
In  0.9139  0.1960  0.3920
In  0.1250  0.3750  0.2500
In  0.1250  0.8750  0.2500
In  0.1250  0.8750  0.7500
In  0.6250  0.8750  0.7500

E_form in meV per atom: 29
Crystal system: tetragonal

[9]
This record from Materials Project describes a relaxed structure of ZrIn2. The functional is PBE.

a = 14.1449 Å, b = 14.1449 Å, c = 14.1449 Å
α = 161.93°, β = 161.93°, γ = 25.66°
Sites, in units of the cell vectors:
Zr  0.8274  0.3274  0.5000
Zr  0.0774  0.0774  0.0000
Zr  0.9226  0.9226  0.0000
Zr  0.6726  0.1726  0.5000
In  0.0005  0.5005  0.5000
In  0.2505  0.2505  0.0000
In  0.7495  0.7495  0.0000
In  0.4995  0.9995  0.5000
In  0.1621  0.6621  0.5000
In  0.4121  0.4121  0.0000
In  0.5879  0.5879  0.0000
In  0.3379  0.8379  0.5000

E_form in meV per atom: -267
Crystal system: tetragonal

[10]
This record from Materials Project describes a relaxed structure of Zr3In. The functional is PBE.

a = 4.4784 Å, b = 4.4784 Å, c = 4.4784 Å
α = 90.00°, β = 90.00°, γ = 90.00°
Sites, in units of the cell vectors:
Zr  0.5000  0.0000  0.5000
Zr  0.0000  0.5000  0.5000
Zr  0.5000  0.5000  0.0000
In  0.0000  0.0000  0.0000

E_form in meV per atom: -251
Crystal system: cubic

[11]
This record from Materials Project describes a relaxed structure of KLi6IrO6. The functional is PBE.

a = 5.3552 Å, b = 5.3552 Å, c = 5.3552 Å
α = 101.38°, β = 101.38°, γ = 101.38°
Sites, in units of the cell vectors:
K  0.5000  0.5000  0.5000
Li  0.0000  0.3382  0.6618
Li  0.6618  0.0000  0.3382
Li  0.6618  0.3382  0.0000
Li  0.3382  0.0000  0.6618
Li  0.0000  0.6618  0.3382
Li  0.3382  0.6618  0.0000
Ir  0.0000  0.0000  0.0000
O  0.0770  0.7257  0.7257
O  0.7257  0.7257  0.0770
O  0.9230  0.2743  0.2743
O  0.2743  0.2743  0.9230
O  0.2743  0.9230  0.2743
O  0.7257  0.0770  0.7257

E_form in meV per atom: -1890
Crystal system: trigonal

[12]
This record from Materials Project describes a relaxed structure of K2IrN2. The functional is PBE.

a = 3.3798 Å, b = 4.6952 Å, c = 7.3845 Å
α = 108.54°, β = 103.23°, γ = 90.00°
Sites, in units of the cell vectors:
K  0.8474  0.8474  0.1949
K  0.1526  0.1526  0.8051
Ir  0.5000  0.5000  0.5000
N  0.3682  0.3682  0.2365
N  0.6318  0.6318  0.7635

E_form in meV per atom: 148
Crystal system: orthorhombic